An optimized crystal structure of Li12Cu11As12, computed with r²SCAN.

- E_tot: -9.71 eV per atom
- DFT formation energy: -15.5 eV/f.u.

Cell and atoms, written as extended XYZ:
```
35
Lattice="4.080 0.000 0.000 -2.040 3.533 0.000 0.000 0.000 35.995" Properties=species:S:1:pos:R:3 pbc="T T T"
Li 0.000 0.000 0.000
Li 0.000 0.000 2.695
Li 0.000 0.000 5.720
Li 0.000 0.000 8.779
Li 0.000 0.000 11.813
Li 0.000 0.000 14.753
Li 0.000 0.000 17.790
Li 0.000 0.000 20.843
Li 0.000 0.000 23.806
Li 0.000 0.000 26.897
Li 0.000 0.000 29.962
Li 0.000 0.000 32.895
Cu 0.000 2.355 6.863
Cu 0.000 2.355 10.685
Cu 0.000 2.355 15.923
Cu 0.000 2.355 19.687
Cu 0.000 2.355 25.026
Cu 0.000 2.355 28.792
Cu 0.000 2.355 34.127
Cu 2.040 1.178 3.929
Cu 2.040 1.178 13.277
Cu 2.040 1.178 22.283
Cu 2.040 1.178 31.340
As 0.000 2.355 4.388
As 0.000 2.355 13.305
As 0.000 2.355 22.351
As 0.000 2.355 31.485
As 2.040 1.178 1.257
As 2.040 1.178 7.540
As 2.040 1.178 10.078
As 2.040 1.178 16.523
As 2.040 1.178 19.091
As 2.040 1.178 25.612
As 2.040 1.178 28.200
As 2.040 1.178 34.800
```

***

An optimized crystal structure of Li2CuAs, computed with r²SCAN.

- E_tot: -8.19 eV per atom
- DFT formation energy: -2.4 eV/f.u.

Cell and atoms, written as extended XYZ:
```
8
Lattice="4.148 0.000 0.000 -2.074 3.592 0.000 0.000 0.000 7.890" Properties=species:S:1:pos:R:3 pbc="T T T"
Li 0.000 2.395 0.680
Li 0.000 2.395 3.265
Li 2.074 1.197 4.625
Li 2.074 1.197 7.210
Cu 0.000 0.000 1.972
Cu 0.000 0.000 5.917
As 0.000 2.395 5.917
As 2.074 1.197 1.972
```

***

An optimized crystal structure of MgCuAs, computed with r²SCAN.

- E_tot: -10.33 eV per atom
- DFT formation energy: -1.3 eV/f.u.

Cell and atoms, written as extended XYZ:
```
24
Lattice="13.430 0.000 0.000 0.000 3.955 0.000 0.000 0.000 7.354" Properties=species:S:1:pos:R:3 pbc="T T T"
Mg 1.430 0.989 0.412
Mg 1.916 2.966 4.942
Mg 4.799 0.989 1.265
Mg 5.285 2.966 4.089
Mg 8.146 0.989 3.265
Mg 8.632 2.966 6.089
Mg 11.514 0.989 2.412
Mg 12.000 2.966 6.941
Cu 0.896 0.989 3.163
Cu 2.502 2.966 2.212
Cu 4.213 0.989 5.889
Cu 5.819 2.966 6.840
Cu 7.611 0.989 0.514
Cu 9.217 2.966 1.464
Cu 10.928 0.989 5.141
Cu 12.535 2.966 4.191
As 13.429 0.989 5.518
As 0.001 2.966 1.836
As 3.313 2.966 7.204
As 3.402 0.989 3.527
As 6.714 0.989 5.513
As 6.716 2.966 1.841
As 10.028 2.966 3.827
As 10.117 0.989 0.150
```

***

An optimized crystal structure of MgCuAs, computed with r²SCAN.

- E_tot: -10.33 eV per atom
- DFT formation energy: -1.3 eV/f.u.

Cell and atoms, written as extended XYZ:
```
6
Lattice="3.972 0.000 0.000 0.000 3.972 0.000 0.000 0.000 6.237" Properties=species:S:1:pos:R:3 pbc="T T T"
Mg 0.993 0.993 1.133
Mg 2.979 2.979 5.103
Cu 0.993 2.979 3.118
Cu 2.979 0.993 3.118
As 0.993 0.993 4.699
As 2.979 2.979 1.537
```

***

An optimized crystal structure of MnCuAs, computed with r²SCAN.

- E_tot: -13.63 eV per atom
- DFT formation energy: -0.6 eV/f.u.

Cell and atoms, written as extended XYZ:
```
12
Lattice="6.619 0.000 0.000 0.000 3.858 0.000 0.000 0.000 7.305" Properties=species:S:1:pos:R:3 pbc="T T T"
Mn 0.275 0.965 1.361
Mn 3.034 2.894 5.014
Mn 3.585 0.965 2.291
Mn 6.344 2.894 5.944
Cu 0.793 0.965 4.108
Cu 2.516 2.894 0.456
Cu 4.103 0.965 6.849
Cu 5.826 2.894 3.197
As 1.617 0.965 6.424
As 1.692 2.894 2.772
As 4.927 0.965 4.533
As 5.002 2.894 0.881
```

***

An optimized crystal structure of Na4CuAs2O8, computed with r²SCAN.

- E_tot: -8.50 eV per atom
- DFT formation energy: -25.3 eV/f.u.

Cell and atoms, written as extended XYZ:
```
15
Lattice="4.846 0.000 0.000 -1.598 5.611 0.000 -0.098 -1.032 6.853" Properties=species:S:1:pos:R:3 pbc="T T T"
Na 0.366 1.382 0.522
Na 0.415 2.515 4.582
Na 2.736 2.063 2.271
Na 2.785 3.197 6.331
Cu -0.049 -0.516 3.427
As 0.632 4.269 1.601
As 2.518 0.310 5.253
O 0.819 0.067 5.071
O 0.198 2.822 2.363
O 0.264 3.049 6.800
O 1.426 0.014 2.280
O 1.725 4.565 4.573
O 2.887 1.530 0.053
O 2.952 1.757 4.490
O 2.332 4.512 1.782
```

***

An optimized crystal structure of Cu4As2O9, computed with r²SCAN.

- E_tot: -9.47 eV per atom
- DFT formation energy: -15.5 eV/f.u.

Cell and atoms, written as extended XYZ:
```
30
Lattice="6.407 0.000 0.000 -1.052 7.598 0.000 -3.150 -1.703 7.436" Properties=species:S:1:pos:R:3 pbc="T T T"
Cu -0.496 2.306 1.729
Cu -1.833 5.694 4.355
Cu 1.182 6.308 0.375
Cu -0.589 3.375 5.627
Cu 2.794 2.520 1.809
Cu 1.023 -0.413 7.061
Cu 4.038 0.201 3.081
Cu 2.702 3.589 5.707
As -2.086 0.308 6.334
As 1.148 4.702 3.063
As 1.057 1.193 4.374
As 4.291 5.587 1.102
O -2.016 6.492 2.561
O -0.677 5.791 0.214
O -1.918 1.955 6.054
O -2.057 4.551 5.880
O -0.337 1.552 3.500
O -0.273 4.556 3.988
O -0.905 -0.377 7.366
O 1.080 3.462 1.838
O 0.890 -0.308 5.141
O 1.315 6.203 2.295
O 1.126 2.433 5.598
O 3.110 6.272 0.071
O 2.478 1.339 3.449
O 2.542 4.343 3.936
O 4.263 1.344 1.557
O 4.123 3.940 1.382
O 2.883 0.104 7.223
O 4.221 -0.597 4.875
```

***

An optimized crystal structure of Cu5As2O10, computed with r²SCAN.

- E_tot: -9.44 eV per atom
- DFT formation energy: -17.1 eV/f.u.

Cell and atoms, written as extended XYZ:
```
17
Lattice="5.134 0.000 0.000 -0.561 6.229 0.000 -0.705 -1.224 6.123" Properties=species:S:1:pos:R:3 pbc="T T T"
Cu 0.000 0.000 0.000
Cu 0.205 3.870 1.361
Cu 0.864 0.090 3.399
Cu 3.003 4.914 2.724
Cu 3.663 1.135 4.762
As 1.176 3.186 4.726
As 2.692 1.819 1.397
O -0.637 5.526 1.752
O 0.280 1.893 4.078
O 1.132 2.255 0.912
O 0.350 3.832 6.078
O 1.299 4.372 3.486
O 2.569 0.633 2.637
O 3.517 1.173 0.046
O 2.736 2.750 5.211
O 3.588 3.112 2.045
O 4.505 -0.522 4.371
```

***

An optimized crystal structure of Cu5As2O12, computed with r²SCAN.

- E_tot: -9.03 eV per atom
- DFT formation energy: -16.2 eV/f.u.

Cell and atoms, written as extended XYZ:
```
19
Lattice="5.972 0.000 0.000 -1.691 5.797 0.000 -0.955 -2.907 6.337" Properties=species:S:1:pos:R:3 pbc="T T T"
Cu 0.000 0.000 0.000
Cu -0.068 4.786 2.164
Cu 0.831 1.966 2.017
Cu 2.496 0.924 4.319
Cu 3.394 -1.895 4.172
As -0.461 0.330 5.146
As 3.788 2.560 1.191
O -1.731 1.416 4.736
O -0.962 -1.330 4.965
O 1.411 0.481 1.112
O 0.738 0.492 3.915
O 0.941 3.545 0.378
O 0.248 3.291 3.183
O 3.078 -0.401 3.154
O 2.386 -0.655 5.959
O 2.589 2.398 2.421
O 1.916 2.409 5.225
O 4.289 4.220 1.372
O 5.058 1.474 1.600
```

***

Question: What is the formula in the third record?
Answer: MgCuAs